# Na2P2H3S2O4

Crystalline Na2P2H3S2O4 at its relaxed geometry (PBE-GGA, the Materials Project).

a b c (Å): 8.5014 8.6811 14.4891
angles (deg): 89.82 75.17 62.43
With the nearest neighbours (Å) after each atom.
Space group P-1 (No. 2)
Symmetry-distinct sites (fractional):
Na (0.0085, 0.2844, 0.0403)  2 O 2.32-2.38, 1 H 2.37
Na (0.0514, 0.6208, 0.2197)  2 O 2.31-2.38, 1 H 2.53
Na (0.2621, 0.4570, 0.4029)  1 O 2.39, 2 H 2.48-2.55
Na (0.3646, 0.7778, 0.2652)  3 O 2.22-2.41
P (0.0428, 0.1629, 0.3859)  3 O 1.49-1.64
P (0.0884, 0.1067, 0.5840)  3 O 1.52-1.64
P (0.3197, 0.3787, 0.9953)  3 O 1.51-1.65
P (0.4650, 0.6015, 0.8783)  3 O 1.51-1.65
H (0.1101, 0.1008, 0.8667)  2 S 2.58-2.76, 2 Na 2.66-2.69
H (0.1712, 0.0295, 0.1084)  1 Na 2.37
H (0.1781, 0.4938, 0.7661)  1 H 2.53, 1 Na 2.53, 1 S 2.60
H (0.2866, 0.2818, 0.2537)  1 O 2.42, 1 Na 2.55
H (0.4396, 0.4756, 0.6272)  1 H 2.53, 1 S 2.72, 2 Na 2.79-2.82
H (0.4567, 0.1961, 0.4698)  1 Na 2.48, 1 S 2.70
S (0.0992, 0.5757, 0.6052)  1 P 2.00
S (0.2745, 0.1068, 0.6403)  1 P 1.96
S (0.3357, 0.7746, 0.8006)  1 P 1.96
S (0.3600, 0.1995, 0.8967)  1 P 1.96
O (0.1050, 0.9102, 0.5801)  2 P 1.63-1.64
O (0.1114, 0.7541, 0.3726)  1 P 1.52
O (0.1382, 0.4534, 0.0743)  1 P 1.51
O (0.1537, 0.1131, 0.4684)  2 P 1.63-1.64
O (0.1824, 0.0667, 0.2921)  1 P 1.49
O (0.3117, 0.5565, 0.9507)  2 P 1.65
O (0.3633, 0.5670, 0.1698)  1 P 1.51
O (0.4948, 0.3043, 0.0389)  2 P 1.62-1.64

Computed properties:
Formation energy, eV per atom: -0.995

# NaPH4SO8

Crystalline NaPH4SO8 at its relaxed geometry (PBE-GGA, the Materials Project).

a b c (Å): 5.4728 6.8453 8.8209
angles (deg): 90.00 95.42 90.00
With the nearest neighbours (Å) after each atom.
Space group P2_1 (No. 4)
Symmetry-distinct sites (fractional):
Na (0.0130, 0.0000, 0.4457)  5 O 2.36-2.58
P (0.1185, 0.2591, 0.8783)  4 O 1.52-1.58
H (0.0870, 0.6435, 0.9315)  1 O 1.02
H (0.1540, 0.5594, 0.2492)  1 O 1.01
H (0.4282, 0.0536, 0.8612)  1 O 1.01
H (0.4517, 0.5295, 0.7781)  1 O 1.02
S (0.4586, 0.2756, 0.3614)  4 O 1.46-1.58
O (0.0139, 0.6517, 0.2657)  1 H 1.01
O (0.0518, 0.7676, 0.9898)  1 H 1.02
O (0.1756, 0.4669, 0.8319)  1 P 1.52, 2 H 1.60-1.68
O (0.2797, 0.2789, 0.4745)  1 S 1.46
O (0.2846, 0.7736, 0.5777)  1 S 1.46
O (0.3550, 0.1432, 0.9356)  1 H 1.01
O (0.4032, 0.0740, 0.2772)  1 H 1.02
O (0.4046, 0.4341, 0.2472)  1 S 1.49, 2 H 1.61-1.62

Computed properties:
Formation energy, eV per atom: -1.891
Piezoelectric modulus e_max, C/m2: 0.65

# Na3PH22S3O12

Crystalline Na3PH22S3O12 at its relaxed geometry (PBE-GGA, the Materials Project).

a b c (Å): 12.9904 9.5342 14.2826
angles (deg): 90.00 90.00 90.00
With the nearest neighbours (Å) after each atom.
Space group Pna2_1 (No. 33)
Symmetry-distinct sites (fractional):
Na (0.0092, 0.0147, 0.0000)  4 O 2.24-2.45, 1 H 2.43
Na (0.2078, 0.0063, 0.1324)  6 O 2.36-2.57
Na (0.2367, 0.9933, 0.4382)  6 O 2.33-2.51
P (0.0883, 0.5248, 0.3018)  1 O 1.55
H (0.0034, 0.8554, 0.1902)  1 O 0.99
H (0.0340, 0.9907, 0.7155)  1 O 0.98
H (0.0617, 0.6282, 0.9367)  1 O 0.99
H (0.0766, 0.2587, 0.1389)  1 O 0.99
H (0.0788, 0.7750, 0.3831)  1 O 1.01
H (0.0805, 0.3351, 0.8879)  1 O 1.00
H (0.0799, 0.9058, 0.3153)  1 O 0.98
H (0.0821, 0.5479, 0.6070)  1 O 0.98
H (0.0919, 0.6132, 0.0452)  1 O 1.00
H (0.1002, 0.2321, 0.4500)  1 O 0.99
H (0.1146, 0.5988, 0.5071)  1 O 0.99
H (0.1185, 0.2619, 0.0321)  1 O 0.99
H (0.1216, 0.8779, 0.5985)  1 O 0.97
H (0.1396, 0.3240, 0.6877)  1 O 0.99
H (0.1502, 0.2153, 0.5518)  1 O 0.99
H (0.1535, 0.8032, 0.9812)  1 O 1.00
H (0.1767, 0.6519, 0.7895)  1 O 0.98
H (0.1777, 0.2303, 0.8728)  1 O 0.99
H (0.2037, 0.9348, 0.9278)  1 O 0.99
H (0.2081, 0.2047, 0.2934)  1 O 0.99
H (0.2282, 0.2112, 0.6986)  1 O 1.00
H (0.2287, 0.8282, 0.6202)  1 O 0.98
S (0.0235, 0.6162, 0.1835)  1 P 2.08, 3 H 2.17-2.30
S (0.0400, 0.3180, 0.3074)  1 P 2.07
S (0.2457, 0.5321, 0.2960)  1 P 2.05, 2 H 2.20-2.23
O (0.0235, 0.9561, 0.1890)  2 H 0.98-0.99
O (0.0484, 0.6058, 0.3889)  1 P 1.55, 1 H 1.66
O (0.0868, 0.8802, 0.3816)  2 H 0.98-1.01
O (0.0993, 0.2007, 0.0855)  2 H 0.99
O (0.1172, 0.1633, 0.4994)  2 H 0.99
O (0.1200, 0.6301, 0.9811)  2 H 0.99-1.00
O (0.1366, 0.5992, 0.5736)  2 H 0.98-0.99
O (0.1501, 0.3076, 0.9113)  2 H 0.99-1.00
O (0.1618, 0.9074, 0.9830)  2 H 0.99-1.00
O (0.1930, 0.9041, 0.5879)  2 H 0.97-0.98
O (0.2054, 0.2919, 0.6595)  2 H 0.99-1.00
O (0.2482, 0.6203, 0.7853)  2 H 0.98-0.99

Computed properties:
Formation energy, eV per atom: -1.281

# Na2SrP2H16S6O8

Crystalline Na2SrP2H16S6O8 at its relaxed geometry (PBE-GGA, the Materials Project).

a b c (Å): 14.9507 9.4450 14.4530
angles (deg): 90.00 114.92 90.00
With the nearest neighbours (Å) after each atom.
Space group C2/c (No. 15)
Symmetry-distinct sites (fractional):
Na (0.0000, 0.1878, 0.2500)  2 O 2.57
Na (0.2500, 0.2500, 0.0000)  4 O 2.37-2.42
Sr (0.0000, 0.2509, 0.7500)  8 O 2.59-2.68
P (0.2009, 0.2397, 0.5430)  3 S 2.03-2.05
H (0.0424, 0.3089, 0.9789)  1 O 0.99
H (0.0517, 0.0079, 0.9197)  1 O 1.00
H (0.0634, 0.0273, 0.6243)  1 O 0.99
H (0.0903, 0.4382, 0.9507)  1 O 1.00
H (0.1372, 0.4469, 0.6951)  1 O 0.99
H (0.1487, 0.4934, 0.2986)  1 O 0.98
H (0.2026, 0.0677, 0.8282)  1 O 1.00
H (0.2192, 0.2130, 0.7830)  1 O 0.99
S (0.0710, 0.3327, 0.4529)  1 P 2.03, 1 H 2.19
S (0.1854, 0.0282, 0.5628)  1 P 2.04, 1 H 2.21
S (0.2239, 0.1644, 0.3188)  1 P 2.05, 1 H 2.23
O (0.0078, 0.0277, 0.6446)  2 H 0.99-1.00
O (0.0863, 0.3326, 0.9454)  2 H 0.99-1.00
O (0.0984, 0.4686, 0.7343)  2 H 0.98-0.99
O (0.1879, 0.1708, 0.8251)  2 H 0.99-1.00

Computed properties:
Formation energy, eV per atom: -1.263

| no. | magnetic moment (μB per cell) |
| --- | --- |
| 1 | 12.000 |
| 2 | 0.000 |
| 3 | 0.003 |
| 4 | 0.569 |